[1]
LiVC2O6 after structural relaxation. Source: the Materials Project, functional PBE with a Hubbard U.

Geometry as POSCAR:
```
LiVC2O6
1.0
-5.193 -1.712 -5.026
0.103 -4.537 1.439
-2.911 1.596 5.242
V C O Li
2 4 12 2
direct
0.616 0.005 0.239
0.384 0.505 0.761
0.137 0.024 0.760
0.615 0.959 0.752
0.863 0.524 0.240
0.385 0.459 0.248
0.145 0.305 0.743
0.636 0.694 0.805
0.573 0.134 0.895
0.364 0.194 0.195
0.427 0.634 0.105
0.637 0.053 0.572
0.970 0.418 0.138
0.239 0.880 0.665
0.030 0.918 0.862
0.855 0.805 0.257
0.761 0.380 0.335
0.363 0.553 0.428
0.930 0.528 0.818
0.070 0.028 0.182
```

Values from the calculation:
- DFT total energy: -7.41 eV/atom
- Calculated volume: 209.11 Å³/cell
- ΔH_f (0 K): -200 kJ/mol of atoms
- Energy relative to the lowest polymorph listed for this composition: 0.065 eV per atom

=====

[2]
Li5VC4O12 after structural relaxation. Source: the Materials Project, functional PBE with a Hubbard U.

Geometry as POSCAR:
```
Li5VC4O12
1.0
-2.116 4.052 8.599
7.348 -2.718 3.089
4.991 9.255 -3.133
O V C Li
48 4 16 20
direct
0.412 0.233 0.724
0.674 0.117 0.992
0.792 0.824 0.449
0.163 0.163 0.892
0.974 0.439 0.789
0.026 0.561 0.211
0.758 0.897 0.804
0.258 0.603 0.196
0.028 0.334 0.545
0.208 0.176 0.551
0.499 0.709 0.033
0.393 0.303 0.218
0.501 0.291 0.967
0.455 0.490 0.691
0.107 0.803 0.218
0.607 0.697 0.782
0.893 0.197 0.782
0.337 0.663 0.892
0.999 0.791 0.967
0.238 0.409 0.714
0.088 0.733 0.724
0.472 0.834 0.545
0.819 0.656 0.611
0.292 0.676 0.551
0.708 0.324 0.449
0.762 0.591 0.286
0.528 0.166 0.455
0.955 0.010 0.309
0.826 0.617 0.992
0.912 0.267 0.276
0.837 0.837 0.108
0.319 0.844 0.389
0.262 0.909 0.714
0.972 0.666 0.455
0.742 0.397 0.804
0.045 0.990 0.691
0.738 0.091 0.286
0.663 0.337 0.108
0.174 0.383 0.008
0.474 0.061 0.211
0.001 0.209 0.033
0.588 0.767 0.276
0.681 0.156 0.611
0.326 0.883 0.008
0.181 0.344 0.389
0.526 0.939 0.789
0.242 0.103 0.196
0.545 0.510 0.309
0.592 0.271 0.285
0.092 0.229 0.715
0.908 0.771 0.285
0.408 0.729 0.715
0.631 0.625 0.290
0.112 0.255 0.978
0.141 0.285 0.490
0.131 0.875 0.710
0.365 0.151 0.207
0.635 0.849 0.793
0.359 0.785 0.490
0.869 0.125 0.290
0.888 0.745 0.022
0.859 0.715 0.510
0.135 0.651 0.207
0.612 0.245 0.022
0.641 0.215 0.510
0.865 0.349 0.793
0.388 0.755 0.978
0.369 0.375 0.710
0.897 0.695 0.790
0.164 0.971 0.329
0.358 0.083 0.877
0.637 0.563 0.945
0.608 0.919 0.413
0.142 0.583 0.877
0.892 0.419 0.413
0.664 0.529 0.671
0.863 0.063 0.945
0.397 0.805 0.210
0.108 0.581 0.587
0.392 0.081 0.587
0.103 0.305 0.210
0.642 0.917 0.123
0.336 0.471 0.329
0.836 0.029 0.671
0.137 0.937 0.055
0.603 0.195 0.790
0.363 0.437 0.055
0.858 0.417 0.123
```

Values from the calculation:
- DFT total energy: -6.92 eV/atom
- Calculated volume: 899.70 Å³/cell
- ΔH_f (0 K): -207 kJ/mol of atoms

=====

[3]
LiVC2O6 after structural relaxation. Source: the Materials Project, functional PBE with a Hubbard U.

Geometry as POSCAR:
```
LiVC2O6
1.0
-1.784 -2.740 -6.980
5.045 -5.318 3.094
-7.016 -1.631 4.567
O Li V C
24 4 4 8
direct
0.576 0.557 0.880
0.607 0.294 0.760
0.168 0.882 0.619
0.796 0.471 0.407
0.774 0.863 0.176
0.424 0.443 0.120
0.457 0.176 0.416
0.832 0.118 0.381
0.257 0.645 0.869
0.586 0.022 0.145
0.687 0.521 0.655
0.274 0.084 0.148
0.007 0.409 0.730
0.543 0.824 0.584
0.212 0.921 0.324
0.993 0.591 0.270
0.313 0.479 0.345
0.788 0.079 0.676
0.393 0.706 0.240
0.743 0.355 0.131
0.204 0.529 0.593
0.226 0.137 0.824
0.414 0.978 0.855
0.726 0.916 0.852
0.701 0.666 0.505
0.981 0.783 0.159
0.299 0.334 0.495
0.019 0.217 0.841
0.470 0.207 0.045
0.739 0.279 0.556
0.261 0.721 0.444
0.530 0.793 0.955
0.262 0.992 0.758
0.680 0.941 0.705
0.156 0.531 0.730
0.320 0.059 0.295
0.844 0.469 0.270
0.738 0.008 0.242
0.377 0.539 0.230
0.623 0.461 0.770
```

Values from the calculation:
- DFT total energy: -7.37 eV/atom
- Calculated volume: 474.73 Å³/cell
- ΔH_f (0 K): -197 kJ/mol of atoms
- Energy relative to the lowest polymorph listed for this composition: 0.099 eV per atom

=====

Question: The highest ΔH_f (0 K) belongs to which entry?
Answer: number 3